Pr2Y, relaxed, DFT GGA-PBE; symmetry = R-3m (166); total DFT energy (no corrections) = -5.319 eV per atom; ΔE_f = 0.5 kcal/mol of atoms
1.0
-3.248 3.461 -7.993
-4.101 -0.089 -8.342
-6.318 2.154 -6.470
Pr Y
2 1
Direct
0.775 0.775 0.775
0.225 0.225 0.225
0.000 0.000 0.000

***

PrYZn2, relaxed, DFT GGA-PBE; symmetry = Fm-3m (225); total DFT energy (no corrections) = -3.771 eV per atom; ΔE_f = -7.6 kcal/mol of atoms
1.0
-3.665 3.449 1.161
-1.193 3.733 -3.365
-4.529 -0.110 -2.481
Y Pr Zn
1 1 2
Direct
0.000 0.000 0.000
0.500 0.500 0.500
0.750 0.750 0.750
0.250 0.250 0.250

***

Pr2Zn17, relaxed, DFT GGA-PBE; symmetry = P6_3/mmc (194); total DFT energy (no corrections) = -1.895 eV per atom; ΔE_f = -6.1 kcal/mol of atoms; polymorph energy (0 for the lowest one) = 0.003 eV/atom
1.0
5.379 6.792 -2.849
-6.506 1.622 6.182
5.757 -1.818 6.536
Zn Pr
34 4
Direct
0.163 0.325 0.980
0.163 0.325 0.520
0.959 0.629 0.750
0.329 0.371 0.250
0.500 0.000 0.000
0.671 0.041 0.750
0.371 0.329 0.750
0.500 0.500 0.500
0.837 0.163 0.480
0.837 0.163 0.020
0.041 0.371 0.250
0.500 0.000 0.500
0.329 0.959 0.250
0.000 0.500 0.500
0.041 0.671 0.250
0.163 0.837 0.980
0.333 0.667 0.104
0.325 0.163 0.480
0.333 0.667 0.396
0.629 0.671 0.250
0.837 0.675 0.020
0.500 0.500 0.000
0.325 0.163 0.020
0.667 0.333 0.604
0.675 0.837 0.520
0.371 0.041 0.750
0.671 0.629 0.750
0.163 0.837 0.520
0.675 0.837 0.980
0.000 0.500 0.000
0.837 0.675 0.480
0.629 0.959 0.250
0.667 0.333 0.896
0.959 0.329 0.750
0.000 0.000 0.250
0.333 0.667 0.750
0.667 0.333 0.250
0.000 0.000 0.750

***

PrZn11, relaxed, DFT GGA-PBE; symmetry = I4_1/amd (141); total DFT energy (no corrections) = -1.774 eV per atom; ΔE_f = -5.1 kcal/mol of atoms
1.0
-5.337 5.337 3.427
5.337 -5.337 3.427
5.337 5.337 -3.427
Zn Pr
22 2
Direct
0.681 0.008 0.084
0.625 0.875 0.750
0.924 0.008 0.328
0.258 0.674 0.828
0.258 0.431 0.584
0.924 0.596 0.916
0.992 0.319 0.916
0.125 0.875 0.250
0.681 0.596 0.672
0.250 0.750 0.500
0.992 0.076 0.672
0.569 0.742 0.416
0.404 0.319 0.328
0.000 0.000 0.000
0.846 0.431 0.172
0.846 0.674 0.416
0.125 0.375 0.250
0.326 0.154 0.584
0.404 0.076 0.084
0.125 0.875 0.750
0.326 0.742 0.172
0.569 0.154 0.828
0.500 0.500 0.000
0.750 0.250 0.500

***

PrZn3, relaxed, DFT GGA-PBE; symmetry = Pnma (62); total DFT energy (no corrections) = -2.478 eV per atom; ΔE_f = -7.8 kcal/mol of atoms
1.0
4.585 0.000 0.000
0.000 6.737 0.000
0.000 0.000 10.466
Zn Pr
12 4
Direct
0.250 0.217 0.956
0.750 0.465 0.894
0.750 0.283 0.456
0.750 0.783 0.044
0.250 0.915 0.147
0.750 0.965 0.606
0.250 0.415 0.353
0.250 0.035 0.394
0.250 0.717 0.544
0.750 0.085 0.853
0.250 0.535 0.106
0.750 0.585 0.647
0.750 0.724 0.341
0.250 0.776 0.841
0.750 0.224 0.159
0.250 0.276 0.659

***

PrZn2, relaxed, DFT GGA-PBE; symmetry = Imma (74); total DFT energy (no corrections) = -2.794 eV per atom; ΔE_f = -8.3 kcal/mol of atoms
1.0
-4.642 0.000 0.000
-2.321 -3.758 -3.776
-2.321 -3.758 3.776
Zn Pr
4 2
Direct
0.443 0.723 0.391
0.057 0.109 0.777
0.557 0.277 0.609
0.943 0.891 0.223
0.750 0.709 0.791
0.250 0.291 0.209

***

Pr3Zn11, relaxed, DFT GGA-PBE; symmetry = Immm (71); total DFT energy (no corrections) = -2.343 eV per atom; ΔE_f = -7.6 kcal/mol of atoms
1.0
-3.267 -0.106 3.115
3.710 -2.484 7.079
1.807 6.155 5.376
Zn Pr
11 3
Direct
0.662 0.698 0.979
0.137 0.144 0.582
0.500 0.698 0.302
0.863 0.418 0.856
0.000 0.500 0.500
0.338 0.302 0.021
0.863 0.856 0.418
0.662 0.979 0.698
0.500 0.302 0.698
0.338 0.021 0.302
0.137 0.582 0.144
0.301 0.699 0.699
0.699 0.301 0.301
0.000 0.000 0.000

***

Pr2Zn17, relaxed, DFT GGA-PBE; symmetry = R-3m (166); total DFT energy (no corrections) = -1.899 eV per atom; ΔE_f = -6.2 kcal/mol of atoms; polymorph energy (0 for the lowest one) = 0.000 eV/atom
1.0
-2.191 0.660 -6.481
-2.749 -6.267 -0.637
-6.490 1.741 1.444
Zn Pr
17 2
Direct
0.293 0.707 0.000
0.161 0.650 0.650
0.839 0.350 0.350
0.293 0.000 0.707
0.650 0.650 0.161
0.707 0.000 0.293
0.350 0.839 0.350
0.000 0.500 0.000
0.650 0.161 0.650
0.500 0.000 0.000
0.350 0.350 0.839
0.099 0.099 0.099
0.901 0.901 0.901
0.000 0.293 0.707
0.000 0.707 0.293
0.000 0.000 0.500
0.707 0.293 0.000
0.664 0.664 0.664
0.336 0.336 0.336

***

Pr3Zr, relaxed, DFT GGA-PBE; symmetry = P6_3/mmc (194); total DFT energy (no corrections) = -5.562 eV per atom; ΔE_f = 3.7 kcal/mol of atoms
1.0
3.584 -6.208 0.000
3.584 6.208 0.000
0.000 0.000 5.863
Zr Pr
2 6
Direct
0.333 0.667 0.750
0.667 0.333 0.250
0.828 0.656 0.750
0.828 0.172 0.750
0.656 0.828 0.250
0.344 0.172 0.750
0.172 0.344 0.250
0.172 0.828 0.250

***

Pt, relaxed, DFT GGA-PBE; symmetry = P6_3/mmc (194); total DFT energy (no corrections) = -6.002 eV per atom; ΔE_f = 1.6 kcal/mol of atoms; polymorph energy (0 for the lowest one) = 0.069 eV/atom
1.0
-1.515 2.182 -0.751
0.984 -1.723 -1.919
-3.980 -2.648 0.337
Pt
2
Direct
0.000 0.000 0.000
0.667 0.333 0.500

***

Pt, relaxed, DFT GGA-PBE; symmetry = Fm-3m (225); total DFT energy (no corrections) = -6.071 eV per atom; ΔE_f = 0.0 kcal/mol of atoms; polymorph energy (0 for the lowest one) = 0.000 eV/atom
1.0
-1.988 -1.988 0.000
-1.988 0.000 -1.988
0.000 -1.988 -1.988
Pt
1
Direct
0.000 0.000 0.000

***

Pt, relaxed, DFT GGA-PBE; symmetry = Im-3m (229); total DFT energy (no corrections) = -5.964 eV per atom; ΔE_f = 2.5 kcal/mol of atoms; polymorph energy (0 for the lowest one) = 0.107 eV/atom
1.0
-1.005 1.788 1.823
-1.910 -0.547 -1.893
0.704 -2.320 1.286
Pt
1
Direct
0.000 0.000 0.000